The following is a DFT calculation (PBE) of a geometry-optimized CeCuGeH structure.

The space group is P-3m1 (No. 164) and the conventional cell measures 4.1562, 4.1562 and 8.2666 Å, with angles of 90.00, 90.00 and 120.00 degrees. The distinct sites, in fractional coordinates, are Ce at (0.0000, 0.0000, 0.0000), Ce at (0.0000, 0.0000, 0.5000), Cu at (0.3333, 0.6667, 0.2442), Ge at (0.3333, 0.6667, 0.7178) and H at (0.3333, 0.6667, 0.0420).

For the total energy, the calculation gives -40.6 eV/cell. The value obtained for the total magnetic moment is 0.00 μB/atom. As for the formation energy: -59 kJ/mol of atoms.

The following is a DFT calculation (PBE) of a geometry-optimized Ba2UCu4Se6 structure.

The space group is P2_1/c (No. 14) and the conventional cell measures 7.3375, 9.8298 and 8.9590 Å, with angles of 90.00, 107.69 and 90.00 degrees. The distinct sites, in fractional coordinates, are Ba at (0.0146, 0.2316, 0.1243), U at (0.5000, 0.0000, 0.5000), Cu at (0.4349, 0.7467, 0.2349), Cu at (0.4952, 0.5005, 0.6398), Se at (0.2118, 0.5622, 0.7113), Se at (0.2166, 0.5515, 0.1481) and Se at (0.3884, 0.2179, 0.9703).

For the total energy, the calculation gives -131.1 eV/cell. The value obtained for the total magnetic moment is 0.15 μB/atom. As for the formation energy: -118 kJ/mol of atoms.